# Li2Mn2CrO6

An optimized crystal structure of Li2Mn2CrO6 (PBE+U, Materials Project).

POSCAR file:
```
Li2Mn2CrO6
1.0
-4.2872 2.3859 1.4537
1.5455 -4.0811 2.6725
5.4725 6.0937 6.1393
Li O Cr Mn
4 12 2 4
Cartesian
-1.8499 2.0889 3.8019
4.5052 2.3360 6.4246
1.6144 5.5981 5.8438
1.0926 -1.1163 4.4401
1.5542 -2.0698 2.3683
2.1609 0.5966 4.1157
2.8023 3.3602 4.3306
-0.0873 1.0560 5.9321
3.1221 4.3945 8.2899
4.9990 2.2301 8.6956
0.4360 3.6314 6.2398
-0.4066 0.0201 1.9725
1.2488 6.4237 7.6778
-2.2733 2.1385 1.8028
0.2835 2.9973 3.6056
2.6465 1.5000 6.5840
1.3805 2.1849 5.1360
-4.2728 2.3710 1.4560
-0.6056 4.3846 4.7208
5.0466 4.1976 8.4001
3.3210 0.0309 5.5414
3.1410 6.3104 8.0014
```

Computed properties:
Energy of formation (kJ per mole of atoms): -204.9
Energy with MP2020 corrections (eV/atom): -7.71
SG: No. 41
Magnetic moment (μB per atom): 0.91
Polymorph energy (0 for the lowest one) (meV per atom): 0.0